! Li2FeSiO4 | the Materials Project | PBE with a Hubbard U | relaxed; values from VASP
&SYSTEM
  ibrav = 0, nat = 32, ntyp = 4
/
ATOMIC_SPECIES
Li 6.94 Li.upf
Fe 55.84 Fe.upf
Si 28.09 Si.upf
O 16.00 O.upf
CELL_PARAMETERS angstrom
11.0051 0.0000 0.0000
0.0000 5.1833 0.0000
0.0000 0.0000 6.3109
ATOMIC_POSITIONS crystal
Li 0.0858 0.1975 0.0000
Li 0.1747 0.8111 0.7531
Li 0.3253 0.3111 0.2531
Li 0.4142 0.6975 0.5000
Li 0.5858 0.3025 0.0000
Li 0.6747 0.6889 0.7531
Li 0.8253 0.1889 0.2531
Li 0.9142 0.8025 0.5000
Fe 0.0857 0.3177 0.5183
Fe 0.4143 0.8177 0.0183
Fe 0.5857 0.1823 0.5183
Fe 0.9143 0.6823 0.0183
Si 0.1631 0.8219 0.2610
Si 0.3369 0.3219 0.7610
Si 0.6631 0.6781 0.2610
Si 0.8369 0.1781 0.7610
O 0.0891 0.7139 0.4731
O 0.0919 0.7565 0.0360
O 0.1667 0.1406 0.2703
O 0.1972 0.2035 0.7576
O 0.3028 0.7035 0.2576
O 0.3333 0.6406 0.7703
O 0.4081 0.2565 0.5360
O 0.4109 0.2139 0.9731
O 0.5891 0.7861 0.4731
O 0.5919 0.7435 0.0360
O 0.6667 0.3594 0.2703
O 0.6972 0.2965 0.7576
O 0.8028 0.7965 0.2576
O 0.8333 0.8594 0.7703
O 0.9081 0.2435 0.5360
O 0.9109 0.2861 0.9731
! size of the total moment	4.0	μB/f.u.
! formation enthalpy at 0 K	-2.544	eV/atom
! distance to the lowest polymorph of the same formula	20	meV/atom

! LiFeSiO4 | the Materials Project | PBE with a Hubbard U | relaxed; values from VASP
&SYSTEM
  ibrav = 0, nat = 28, ntyp = 4
/
ATOMIC_SPECIES
Li 6.94 Li.upf
Fe 55.84 Fe.upf
Si 28.09 Si.upf
O 16.00 O.upf
CELL_PARAMETERS angstrom
8.0322 0.0000 0.0000
0.0000 5.1461 0.0000
-2.2336 0.0000 8.1124
ATOMIC_POSITIONS crystal
Li 0.1240 0.0000 0.0323
Li 0.3525 0.3755 0.5553
Li 0.6475 0.8755 0.4447
Li 0.8760 0.5000 0.9677
Fe 0.0289 0.9637 0.6772
Fe 0.4585 0.2960 0.2408
Fe 0.5415 0.7960 0.7592
Fe 0.9711 0.4637 0.3228
Si 0.2364 0.4992 0.8789
Si 0.2532 0.9163 0.4148
Si 0.7468 0.4163 0.5852
Si 0.7636 0.9992 0.1211
O 0.0773 0.7116 0.8624
O 0.1105 0.0812 0.4872
O 0.1509 0.2085 0.8414
O 0.1980 0.6095 0.3840
O 0.2802 0.0521 0.2470
O 0.3461 0.5774 0.7465
O 0.3666 0.5097 0.0640
O 0.4415 0.9665 0.5518
O 0.5585 0.4665 0.4482
O 0.6334 0.0097 0.9360
O 0.6539 0.0774 0.2535
O 0.7198 0.5521 0.7530
O 0.8020 0.1095 0.6160
O 0.8491 0.7085 0.1586
O 0.8895 0.5812 0.5128
O 0.9227 0.2116 0.1376
! size of the total moment	5.0	μB/f.u.
! formation enthalpy at 0 K	-2.472	eV/atom
! distance to the lowest polymorph of the same formula	65	meV/atom

! LiFeSiO4 | the Materials Project | PBE with a Hubbard U | relaxed; values from VASP
&SYSTEM
  ibrav = 0, nat = 14, ntyp = 4
/
ATOMIC_SPECIES
Li 6.94 Li.upf
Fe 55.84 Fe.upf
Si 28.09 Si.upf
O 16.00 O.upf
CELL_PARAMETERS angstrom
2.5985 1.5002 7.6632
-2.5985 1.5002 7.6632
0.0000 -3.0005 7.6632
ATOMIC_POSITIONS crystal
Li 0.1341 0.1341 0.1341
Li 0.8659 0.8659 0.8659
Fe 0.2660 0.2660 0.2660
Fe 0.7340 0.7340 0.7340
Si 0.4158 0.4158 0.4158
Si 0.5842 0.5842 0.5842
O 0.1234 0.4652 0.7272
O 0.2728 0.8766 0.5348
O 0.3450 0.3450 0.3450
O 0.4652 0.7272 0.1234
O 0.5348 0.2728 0.8766
O 0.6550 0.6550 0.6550
O 0.7272 0.1234 0.4652
O 0.8766 0.5348 0.2728
! size of the total moment	5.0	μB/f.u.
! formation enthalpy at 0 K	-2.466	eV/atom
! distance to the lowest polymorph of the same formula	71	meV/atom